TiAlRh2 | the Materials Project database | r2SCAN | relaxed; raw total energy = -18.04 eV per atom; total moment = 0.00 μB per cell
1.0
1.617 2.869 2.766
-2.043 0.811 3.696
1.691 -1.322 3.726
Ti Al Rh
1 1 2
Direct
0.750 0.750 0.750
0.250 0.250 0.250
0.000 0.000 0.000
0.500 0.500 0.500

---

SmH3 | the Materials Project database | r2SCAN | relaxed; raw total energy = -10.71 eV per atom; total moment = 0.00 μB per cell
1.0
-3.270 -5.663 0.000
-3.270 5.663 0.000
0.000 0.000 -6.806
Sm H
6 18
Direct
0.337 0.337 0.750
0.663 0.000 0.750
0.000 0.663 0.750
0.337 0.000 0.250
0.000 0.337 0.250
0.663 0.663 0.250
0.679 0.650 0.592
0.350 0.030 0.592
0.970 0.321 0.592
0.679 0.030 0.092
0.970 0.650 0.092
0.350 0.321 0.092
0.321 0.350 0.408
0.650 0.970 0.408
0.030 0.679 0.408
0.321 0.970 0.908
0.030 0.350 0.908
0.650 0.679 0.908
0.000 0.000 0.750
0.000 0.000 0.250
0.333 0.667 0.685
0.333 0.667 0.185
0.667 0.333 0.315
0.667 0.333 0.815

---

Pr3Ge2Ru2 | the Materials Project database | r2SCAN | relaxed; raw total energy = -24.48 eV per atom; total moment = 0.00 μB per cell
1.0
5.768 0.000 0.000
0.000 7.982 0.000
0.000 0.000 13.735
Pr Ge Ru
12 8 8
Direct
0.151 0.903 0.598
0.849 0.097 0.098
0.151 0.597 0.402
0.849 0.403 0.902
0.849 0.097 0.402
0.151 0.903 0.902
0.849 0.403 0.598
0.151 0.597 0.098
0.372 0.263 0.750
0.628 0.737 0.250
0.372 0.237 0.250
0.628 0.763 0.750
0.861 0.111 0.750
0.139 0.889 0.250
0.860 0.389 0.250
0.140 0.611 0.750
0.390 0.250 0.500
0.610 0.750 0.000
0.610 0.750 0.500
0.390 0.250 0.000
0.647 0.029 0.590
0.353 0.971 0.090
0.647 0.471 0.410
0.353 0.529 0.911
0.353 0.971 0.410
0.647 0.029 0.910
0.353 0.529 0.590
0.647 0.471 0.090

---

CsLa2Br7 | the Materials Project database | r2SCAN | relaxed; raw total energy = -20.02 eV per atom; total moment = 0.00 μB per cell
1.0
-3.042 -6.442 2.941
10.258 -7.520 -5.862
7.854 1.619 11.668
Cs La Br
4 8 28
Direct
0.250 0.805 0.045
0.750 0.195 0.955
0.750 0.305 0.455
0.250 0.695 0.545
0.250 0.460 0.236
0.750 0.540 0.764
0.750 0.960 0.264
0.250 0.040 0.736
0.250 0.157 0.248
0.750 0.843 0.752
0.750 0.657 0.252
0.250 0.343 0.748
0.004 0.307 0.172
0.996 0.693 0.828
0.996 0.807 0.328
0.504 0.693 0.828
0.004 0.193 0.672
0.496 0.307 0.172
0.496 0.193 0.672
0.504 0.807 0.328
0.010 0.579 0.116
0.990 0.421 0.884
0.990 0.079 0.384
0.510 0.421 0.884
0.010 0.921 0.616
0.490 0.579 0.116
0.490 0.921 0.616
0.510 0.079 0.384
0.009 0.039 0.127
0.991 0.961 0.873
0.991 0.539 0.373
0.509 0.961 0.873
0.009 0.461 0.627
0.491 0.039 0.127
0.491 0.461 0.627
0.509 0.539 0.373
0.250 0.312 0.397
0.750 0.688 0.603
0.750 0.812 0.103
0.250 0.188 0.897

---

Ba3Mn2O8 | the Materials Project database | r2SCAN | relaxed; raw total energy = -14.58 eV per atom; total moment = 8.00 μB per cell
1.0
-3.075 4.836 0.000
-7.605 -4.835 4.157
2.274 4.841 5.841
Ba Mn O
6 4 16
Direct
0.500 0.500 0.000
0.000 0.000 0.000
0.310 0.897 0.379
0.810 0.397 0.379
0.190 0.603 0.621
0.690 0.103 0.621
0.611 0.796 0.778
0.389 0.204 0.222
0.111 0.296 0.778
0.889 0.704 0.222
0.494 0.835 0.011
0.994 0.335 0.011
0.006 0.665 0.989
0.506 0.165 0.989
0.089 0.637 0.304
0.589 0.137 0.304
0.607 0.637 0.304
0.107 0.137 0.304
0.848 0.878 0.304
0.348 0.378 0.304
0.652 0.622 0.696
0.152 0.122 0.696
0.893 0.863 0.696
0.393 0.363 0.696
0.411 0.863 0.696
0.911 0.363 0.696

---

MnFePd6 | the Materials Project database | r2SCAN | relaxed; raw total energy = -21.14 eV per atom; total moment = 9.26 μB per cell
1.0
3.882 0.000 0.000
0.000 3.882 0.000
0.000 0.000 7.759
Mn Fe Pd
1 1 6
Direct
0.000 0.000 0.500
0.000 0.000 0.000
0.500 0.500 0.000
0.500 0.500 0.500
0.500 0.000 0.245
0.500 0.000 0.755
0.000 0.500 0.245
0.000 0.500 0.755

---

HfRe2 | the Materials Project database | r2SCAN | relaxed; raw total energy = -50.45 eV per atom; total moment = 0.00 μB per cell
1.0
5.255 0.000 0.000
-2.628 4.551 0.000
0.000 0.000 8.603
Hf Re
4 8
Direct
0.333 0.667 0.062
0.667 0.333 0.562
0.667 0.333 0.938
0.333 0.667 0.438
0.000 0.000 0.000
0.000 0.000 0.500
0.828 0.656 0.250
0.172 0.828 0.750
0.656 0.828 0.750
0.344 0.172 0.250
0.828 0.172 0.250
0.172 0.344 0.750

---

TiGaTc2 | the Materials Project database | r2SCAN | relaxed; raw total energy = -19.38 eV per atom; total moment = 0.00 μB per cell
1.0
2.646 -3.433 -0.032
0.408 -2.455 3.549
-1.649 -4.008 0.064
Ti Ga Tc
1 1 2
Direct
0.000 0.000 0.000
0.500 0.500 0.500
0.250 0.250 0.250
0.750 0.750 0.750

---

CdAg3 | the Materials Project database | r2SCAN | relaxed; raw total energy = -21.08 eV per atom; total moment = 0.00 μB per cell
1.0
-3.434 1.903 1.373
-1.422 0.248 -3.901
-1.867 -3.690 0.446
Cd Ag
1 3
Direct
0.000 0.000 0.000
0.000 0.500 0.500
0.500 0.000 0.500
0.500 0.500 0.000

---

SbPOF8 | the Materials Project database | r2SCAN | relaxed; raw total energy = -8.50 eV per atom; total moment = 0.00 μB per cell
1.0
16.904 0.000 0.000
0.000 5.188 -0.060
0.000 1.105 7.385
Sb P O F
4 4 4 32
Direct
0.120 0.031 0.739
0.880 0.969 0.261
0.380 0.031 0.239
0.620 0.969 0.761
0.131 0.615 0.147
0.369 0.615 0.647
0.631 0.385 0.353
0.869 0.385 0.853
0.871 0.180 0.007
0.371 0.820 0.493
0.629 0.180 0.507
0.129 0.820 0.993
0.424 0.733 0.165
0.162 0.305 0.851
0.616 0.776 0.992
0.518 0.869 0.691
0.777 0.085 0.299
0.116 0.224 0.508
0.706 0.547 0.339
0.277 0.915 0.201
0.924 0.267 0.335
0.206 0.453 0.161
0.935 0.580 0.851
0.065 0.420 0.149
0.723 0.085 0.799
0.223 0.915 0.701
0.482 0.131 0.309
0.435 0.420 0.649
0.294 0.453 0.661
0.384 0.224 0.008
0.565 0.580 0.351
0.076 0.733 0.665
0.873 0.279 0.676
0.662 0.695 0.649
0.884 0.776 0.492
0.794 0.547 0.839
0.127 0.721 0.324
0.576 0.267 0.835
0.018 0.131 0.809
0.373 0.721 0.824
0.338 0.305 0.351
0.838 0.695 0.149
0.627 0.279 0.176
0.982 0.869 0.191

---

MgHg3 | the Materials Project database | r2SCAN | relaxed; raw total energy = -38.11 eV per atom; total moment = 0.00 μB per cell
1.0
4.354 -3.202 -0.868
3.163 0.002 4.467
-5.361 -0.886 -0.665
Mg Hg
1 3
Direct
0.000 0.000 0.000
0.500 0.500 0.000
0.750 0.250 0.500
0.250 0.750 0.500

---

DyRh2Pb | the Materials Project database | r2SCAN | relaxed; raw total energy = -34.76 eV per atom; total moment = 0.89 μB per cell
1.0
-3.778 0.308 2.835
-3.559 2.918 -1.108
-4.161 -1.768 -1.401
Dy Rh Pb
1 2 1
Direct
0.500 0.500 0.500
0.250 0.250 0.250
0.750 0.750 0.750
0.000 0.000 0.000

---

LiPmIn2 | the Materials Project database | r2SCAN | relaxed; raw total energy = -19.78 eV per atom; total moment = 0.00 μB per cell
1.0
0.000 3.665 3.665
3.665 0.000 3.665
3.665 3.665 0.000
Li Pm In
1 1 2
Direct
0.500 0.500 0.500
0.000 0.000 0.000
0.750 0.750 0.750
0.250 0.250 0.250

---

BO2F3 | the Materials Project database | r2SCAN | relaxed; raw total energy = -6.71 eV per atom; total moment = 8.00 μB per cell
1.0
-3.872 3.673 5.184
-4.186 -4.139 -0.194
2.923 -4.695 5.510
B O F
4 8 12
Direct
0.349 0.311 0.911
0.849 0.689 0.589
0.651 0.689 0.089
0.151 0.311 0.411
0.183 0.906 0.988
0.683 0.094 0.512
0.817 0.094 0.012
0.317 0.906 0.488
0.178 0.794 0.131
0.678 0.206 0.369
0.822 0.206 0.869
0.322 0.794 0.631
0.416 0.236 0.772
0.916 0.764 0.728
0.584 0.764 0.228
0.084 0.236 0.272
0.439 0.277 0.058
0.939 0.723 0.442
0.561 0.723 0.942
0.061 0.277 0.558
0.196 0.422 0.903
0.696 0.578 0.597
0.804 0.578 0.097
0.304 0.422 0.403

---

TlCu2Te2 | the Materials Project database | r2SCAN | relaxed; raw total energy = -25.34 eV per atom; total moment = 0.00 μB per cell
1.0
-1.285 3.802 -0.152
-2.096 -0.574 3.377
7.801 0.617 2.558
Tl Cu Te
1 2 2
Direct
0.000 0.000 0.000
0.750 0.250 0.500
0.250 0.750 0.500
0.642 0.642 0.283
0.358 0.358 0.717

---

ErScZn2 | the Materials Project database | r2SCAN | relaxed; raw total energy = -16.17 eV per atom; total moment = 0.00 μB per cell
1.0
0.000 3.424 3.424
3.424 0.000 3.424
3.424 3.424 0.000
Er Sc Zn
1 1 2
Direct
0.500 0.500 0.500
0.000 0.000 0.000
0.250 0.250 0.250
0.750 0.750 0.750

---

CaPrHg2 | the Materials Project database | r2SCAN | relaxed; raw total energy = -34.41 eV per atom; total moment = 0.00 μB per cell
1.0
-2.956 -3.786 -2.417
-4.822 -1.318 1.981
-4.466 1.369 -2.663
Ca Pr Hg
1 1 2
Direct
0.250 0.250 0.250
0.750 0.750 0.750
0.000 0.000 0.000
0.500 0.500 0.500

---

CsGaTe2 | the Materials Project database | r2SCAN | relaxed; raw total energy = -22.74 eV per atom; total moment = 0.00 μB per cell
1.0
6.001 6.011 0.000
-6.001 6.011 0.000
0.000 2.999 17.881
Cs Ga Te
8 8 16
Direct
0.775 0.150 0.401
0.850 0.225 0.099
0.225 0.850 0.599
0.150 0.775 0.901
0.349 0.223 0.107
0.777 0.651 0.393
0.652 0.777 0.893
0.223 0.348 0.607
0.293 0.915 0.329
0.579 0.707 0.172
0.293 0.421 0.328
0.421 0.293 0.828
0.707 0.579 0.672
0.085 0.708 0.171
0.708 0.085 0.671
0.915 0.292 0.829
0.947 0.572 0.751
0.428 0.053 0.749
0.053 0.428 0.249
0.572 0.428 0.250
0.572 0.947 0.251
0.947 0.053 0.750
0.053 0.947 0.250
0.428 0.572 0.750
0.730 0.356 0.581
0.644 0.270 0.919
0.270 0.644 0.419
0.356 0.730 0.081
0.146 0.271 0.917
0.729 0.854 0.583
0.854 0.730 0.083
0.270 0.146 0.418